# Yb2O3

Crystalline Yb2O3 at its relaxed geometry (meta-GGA r2SCAN, Materials Project).

Lattice parameters (Å, degrees): 8.946 8.946 8.946 109.47 109.47 109.47
Positions (direct):
O 0.456 0.489 0.228
O 0.739 0.011 0.468
O 0.511 0.772 0.544
O 0.229 0.272 0.761
O 0.968 0.956 0.729
O 0.011 0.468 0.739
O 0.468 0.739 0.011
O 0.544 0.511 0.772
O 0.261 0.989 0.532
O 0.489 0.228 0.456
O 0.728 0.239 0.771
O 0.761 0.229 0.272
O 0.956 0.729 0.968
O 0.239 0.771 0.728
O 0.271 0.032 0.044
O 0.772 0.544 0.511
O 0.044 0.271 0.032
O 0.532 0.261 0.989
O 0.272 0.761 0.229
O 0.729 0.968 0.956
O 0.032 0.044 0.271
O 0.771 0.728 0.239
O 0.989 0.532 0.261
O 0.228 0.456 0.489
Yb 0.467 0.717 0.750
Yb 0.783 0.250 0.033
Yb 0.283 0.250 0.533
Yb 0.750 0.967 0.217
Yb 0.250 0.533 0.283
Yb 0.967 0.217 0.750
Yb 0.000 0.000 0.000
Yb 0.500 0.500 0.000
Yb 0.500 0.000 0.500
Yb 0.717 0.750 0.467
Yb 0.750 0.467 0.717
Yb 0.250 0.033 0.783
Yb 0.033 0.783 0.250
Yb 0.217 0.750 0.967
Yb 0.000 0.500 0.500
Yb 0.533 0.283 0.250

Values from the calculation:
ΔE_f = -391.0 kJ/mol of atoms
final energy = -22.248 eV per atom
magnetic moment = 0.000 μB/cell

***

# ZnO

Crystalline ZnO at its relaxed geometry (meta-GGA r2SCAN, Materials Project).

Lattice parameters (Å, degrees): 3.223 3.223 3.223 60.00 60.00 60.00
Positions (direct):
O 0.250 0.250 0.250
Zn 0.000 0.000 0.000

Values from the calculation:
ΔE_f = -157.6 kJ/mol of atoms
final energy = -9.075 eV per atom
magnetic moment = 0.000 μB/cell

***

# ZnO

Crystalline ZnO at its relaxed geometry (meta-GGA r2SCAN, Materials Project).

Lattice parameters (Å, degrees): 3.237 3.237 5.222 90.00 90.00 120.00
Positions (direct):
Zn 0.333 0.667 0.001
Zn 0.667 0.333 0.501
O 0.333 0.667 0.380
O 0.667 0.333 0.880

Values from the calculation:
ΔE_f = -158.4 kJ/mol of atoms
final energy = -9.083 eV per atom
magnetic moment = 0.000 μB/cell

***

# ZnO

Crystalline ZnO at its relaxed geometry (meta-GGA r2SCAN, Materials Project).

Lattice parameters (Å, degrees): 5.518 5.518 3.259 90.00 90.00 90.00
Positions (direct):
Zn 0.818 0.818 0.500
Zn 0.318 0.682 0.000
Zn 0.182 0.182 0.500
Zn 0.682 0.318 0.000
O 0.317 0.317 0.000
O 0.817 0.183 0.500
O 0.683 0.683 0.000
O 0.183 0.817 0.500

Values from the calculation:
ΔE_f = -155.2 kJ/mol of atoms
final energy = -9.050 eV per atom
magnetic moment = 0.000 μB/cell

***

# ZrO2

Crystalline ZrO2 at its relaxed geometry (meta-GGA r2SCAN, Materials Project).

Lattice parameters (Å, degrees): 3.600 3.600 5.225 90.00 90.00 90.00
Positions (direct):
O 0.250 0.250 0.448
O 0.750 0.750 0.552
O 0.250 0.250 0.948
O 0.750 0.750 0.052
Zr 0.250 0.750 0.750
Zr 0.750 0.250 0.250

Values from the calculation:
ΔE_f = -362.0 kJ/mol of atoms
final energy = -15.317 eV per atom
magnetic moment = 0.000 μB/cell

***

# ZrO2

Crystalline ZrO2 at its relaxed geometry (meta-GGA r2SCAN, Materials Project).

Lattice parameters (Å, degrees): 4.878 5.844 16.137 90.00 90.00 90.00
Positions (direct):
O 0.721 0.805 0.305
O 0.779 0.695 0.805
O 0.787 0.072 0.138
O 0.221 0.695 0.695
O 0.796 0.371 0.970
O 0.796 0.629 0.470
O 0.713 0.572 0.138
O 0.721 0.195 0.805
O 0.221 0.305 0.195
O 0.287 0.572 0.362
O 0.279 0.195 0.695
O 0.779 0.305 0.305
O 0.213 0.072 0.362
O 0.204 0.371 0.530
O 0.296 0.129 0.030
O 0.279 0.805 0.195
O 0.713 0.428 0.638
O 0.213 0.928 0.862
O 0.704 0.871 0.970
O 0.787 0.928 0.638
O 0.296 0.871 0.530
O 0.287 0.428 0.862
O 0.204 0.629 0.030
O 0.704 0.129 0.470
Zr 0.000 0.016 0.250
Zr 0.998 0.652 0.916
Zr 0.502 0.848 0.416
Zr 0.002 0.652 0.584
Zr 0.000 0.984 0.750
Zr 0.002 0.348 0.084
Zr 0.498 0.152 0.584
Zr 0.498 0.848 0.084
Zr 0.500 0.516 0.250
Zr 0.500 0.484 0.750
Zr 0.502 0.152 0.916
Zr 0.998 0.348 0.416

Values from the calculation:
ΔE_f = -358.6 kJ/mol of atoms
final energy = -15.282 eV per atom
magnetic moment = 0.000 μB/cell

***

# ZrO2

Crystalline ZrO2 at its relaxed geometry (meta-GGA r2SCAN, Materials Project).

Lattice parameters (Å, degrees): 3.599 3.599 3.599 60.00 60.00 60.00
Positions (direct):
Zr 0.000 0.000 0.000
O 0.750 0.750 0.750
O 0.250 0.250 0.250

Values from the calculation:
ΔE_f = -359.3 kJ/mol of atoms
final energy = -15.289 eV per atom
magnetic moment = 0.000 μB/cell

***

# ZrO2

Crystalline ZrO2 at its relaxed geometry (meta-GGA r2SCAN, Materials Project).

Lattice parameters (Å, degrees): 5.804 9.080 6.150 46.83 57.34 34.67
Positions (direct):
O 0.246 0.503 0.084
O 0.068 0.164 0.741
O 0.388 0.846 0.400
O 0.965 0.842 0.236
O 0.786 0.503 0.892
O 0.644 0.161 0.577
Zr 0.151 0.869 0.806
Zr 0.881 0.138 0.171
Zr 0.016 0.503 0.488

Values from the calculation:
ΔE_f = -352.1 kJ/mol of atoms
final energy = -15.214 eV per atom
magnetic moment = 0.000 μB/cell

***

# ZrO2

Crystalline ZrO2 at its relaxed geometry (meta-GGA r2SCAN, Materials Project).

Lattice parameters (Å, degrees): 3.986 6.928 7.057 73.63 89.99 73.28
Positions (direct):
Zr 0.099 0.797 0.711
Zr 0.191 0.614 0.287
Zr 0.897 0.201 0.287
Zr 0.805 0.384 0.711
O 0.939 0.117 0.621
O 0.869 0.258 0.994
O 0.258 0.479 0.645
O 0.642 0.711 0.708
O 0.057 0.881 0.377
O 0.354 0.287 0.290
O 0.738 0.519 0.353
O 0.128 0.740 0.003

Values from the calculation:
ΔE_f = -355.9 kJ/mol of atoms
final energy = -15.253 eV per atom
magnetic moment = 0.000 μB/cell

***

# ZrO2

Crystalline ZrO2 at its relaxed geometry (meta-GGA r2SCAN, Materials Project).

Lattice parameters (Å, degrees): 10.216 5.219 5.310 90.00 90.00 90.00
Positions (direct):
O 0.775 0.751 0.913
O 0.725 0.251 0.913
O 0.966 0.165 0.330
O 0.225 0.251 0.587
O 0.725 0.249 0.413
O 0.534 0.835 0.830
O 0.534 0.665 0.330
O 0.034 0.665 0.170
O 0.966 0.335 0.830
O 0.275 0.749 0.087
O 0.466 0.335 0.670
O 0.225 0.249 0.087
O 0.775 0.749 0.413
O 0.034 0.835 0.670
O 0.275 0.751 0.587
O 0.466 0.165 0.170
Zr 0.862 0.459 0.159
Zr 0.362 0.459 0.341
Zr 0.362 0.041 0.841
Zr 0.862 0.041 0.659
Zr 0.138 0.959 0.341
Zr 0.638 0.541 0.659
Zr 0.638 0.959 0.159
Zr 0.138 0.541 0.841

Values from the calculation:
ΔE_f = -363.7 kJ/mol of atoms
final energy = -15.335 eV per atom
magnetic moment = 0.000 μB/cell

***

# ZrO2

Crystalline ZrO2 at its relaxed geometry (meta-GGA r2SCAN, Materials Project).

Lattice parameters (Å, degrees): 5.154 5.228 5.330 90.00 99.44 90.00
Positions (direct):
O 0.931 0.834 0.156
O 0.551 0.243 0.521
O 0.069 0.334 0.344
O 0.551 0.257 0.021
O 0.449 0.743 0.979
O 0.931 0.666 0.656
O 0.449 0.757 0.479
O 0.069 0.166 0.844
Zr 0.724 0.958 0.790
Zr 0.724 0.542 0.290
Zr 0.276 0.042 0.210
Zr 0.276 0.458 0.710

Values from the calculation:
ΔE_f = -364.7 kJ/mol of atoms
final energy = -15.344 eV per atom
magnetic moment = 0.000 μB/cell

***

# ZrO2

Crystalline ZrO2 at its relaxed geometry (meta-GGA r2SCAN, Materials Project).

Lattice parameters (Å, degrees): 4.867 7.616 10.265 137.89 18.51 129.72
Positions (direct):
O 0.503 0.695 0.693
O 0.503 0.307 0.305
O 0.891 0.807 0.305
O 0.113 0.195 0.694
Zr 0.504 0.501 0.999
Zr 0.502 0.001 0.000

Values from the calculation:
ΔE_f = -358.6 kJ/mol of atoms
final energy = -15.282 eV per atom
magnetic moment = 0.000 μB/cell

***

Please write out number 4 again, unchanged.
# ZnO

Crystalline ZnO at its relaxed geometry (meta-GGA r2SCAN, Materials Project).

Lattice parameters (Å, degrees): 5.518 5.518 3.259 90.00 90.00 90.00
Positions (direct):
Zn 0.818 0.818 0.500
Zn 0.318 0.682 0.000
Zn 0.182 0.182 0.500
Zn 0.682 0.318 0.000
O 0.317 0.317 0.000
O 0.817 0.183 0.500
O 0.683 0.683 0.000
O 0.183 0.817 0.500

Values from the calculation:
ΔE_f = -155.2 kJ/mol of atoms
final energy = -9.050 eV per atom
magnetic moment = 0.000 μB/cell

***

- Among the records above, which one has the highest ΔE_f?
  number 4